1:
VASP calculation (PBE) on a relaxed LiCuPO4 crystal.

a b c (Å): 7.759 8.484 17.367
angles (deg): 62.15 90.00 90.00
Fractional positions:
Li (0.029, 0.722, 0.059)
Li (0.954, 0.362, 0.408)
Li (0.149, 0.015, 0.754)
Li (0.649, 0.985, 0.746)
Li (0.454, 0.638, 0.092)
Li (0.529, 0.278, 0.441)
Li (0.471, 0.722, 0.559)
Li (0.546, 0.362, 0.908)
Li (0.351, 0.015, 0.254)
Li (0.851, 0.985, 0.246)
Li (0.046, 0.638, 0.592)
Li (0.971, 0.278, 0.941)
Cu (0.738, 0.373, 0.590)
Cu (0.766, 0.663, 0.226)
Cu (0.730, 0.957, 0.924)
Cu (0.230, 0.043, 0.576)
Cu (0.266, 0.337, 0.274)
Cu (0.238, 0.627, 0.910)
Cu (0.762, 0.373, 0.090)
Cu (0.734, 0.663, 0.726)
Cu (0.770, 0.957, 0.424)
Cu (0.270, 0.043, 0.076)
Cu (0.234, 0.337, 0.774)
Cu (0.262, 0.627, 0.410)
P (0.340, 0.362, 0.594)
P (0.179, 0.698, 0.223)
P (0.328, 0.968, 0.925)
P (0.828, 0.032, 0.575)
P (0.679, 0.302, 0.277)
P (0.840, 0.638, 0.906)
P (0.160, 0.362, 0.094)
P (0.321, 0.698, 0.723)
P (0.172, 0.968, 0.425)
P (0.672, 0.032, 0.075)
P (0.821, 0.302, 0.777)
P (0.660, 0.638, 0.406)
O (0.493, 0.554, 0.392)
O (0.143, 0.586, 0.323)
O (0.207, 0.924, 0.004)
O (0.640, 0.829, 0.128)
O (0.780, 0.478, 0.465)
O (0.006, 0.746, 0.172)
O (0.250, 0.247, 0.682)
O (0.721, 0.130, 0.796)
O (0.499, 0.867, 0.964)
O (0.382, 0.246, 0.549)
O (0.791, 0.415, 0.308)
O (0.750, 0.104, 0.634)
O (0.291, 0.585, 0.192)
O (0.250, 0.896, 0.866)
O (0.882, 0.754, 0.951)
O (0.999, 0.133, 0.536)
O (0.221, 0.870, 0.704)
O (0.506, 0.254, 0.328)
O (0.750, 0.753, 0.818)
O (0.280, 0.522, 0.035)
O (0.140, 0.171, 0.372)
O (0.707, 0.076, 0.496)
O (0.643, 0.414, 0.177)
O (0.993, 0.446, 0.108)
O (0.007, 0.554, 0.892)
O (0.357, 0.586, 0.823)
O (0.293, 0.924, 0.504)
O (0.860, 0.829, 0.628)
O (0.720, 0.478, 0.965)
O (0.250, 0.247, 0.182)
O (0.494, 0.746, 0.672)
O (0.779, 0.130, 0.296)
O (0.001, 0.867, 0.464)
O (0.118, 0.246, 0.049)
O (0.750, 0.104, 0.134)
O (0.709, 0.415, 0.808)
O (0.250, 0.896, 0.366)
O (0.209, 0.585, 0.692)
O (0.618, 0.754, 0.451)
O (0.501, 0.133, 0.036)
O (0.279, 0.870, 0.204)
O (0.750, 0.753, 0.318)
O (0.994, 0.254, 0.828)
O (0.220, 0.522, 0.535)
O (0.360, 0.171, 0.872)
O (0.793, 0.076, 0.996)
O (0.857, 0.414, 0.677)
O (0.507, 0.446, 0.608)

Properties
ρ   3.3 g/cm3
Symmetry   P2_1/c, No. 14

=====

2:
VASP calculation (PBE) on a relaxed LiCuPO4 crystal.

a b c (Å): 5.869 5.624 10.582
angles (deg): 71.02 90.00 90.00
Fractional positions:
Li (0.338, 0.295, 0.934)
Li (0.838, 0.705, 0.566)
Li (0.162, 0.295, 0.434)
Li (0.662, 0.705, 0.066)
Cu (0.403, 0.746, 0.642)
Cu (0.903, 0.254, 0.858)
Cu (0.097, 0.746, 0.142)
Cu (0.597, 0.254, 0.358)
P (0.316, 0.825, 0.392)
P (0.816, 0.175, 0.108)
P (0.184, 0.825, 0.892)
P (0.684, 0.175, 0.608)
O (0.192, 0.109, 0.809)
O (0.733, 0.346, 0.693)
O (0.552, 0.766, 0.465)
O (0.147, 0.757, 0.514)
O (0.647, 0.243, 0.986)
O (0.052, 0.234, 0.035)
O (0.308, 0.109, 0.309)
O (0.767, 0.346, 0.193)
O (0.233, 0.654, 0.807)
O (0.692, 0.891, 0.691)
O (0.948, 0.766, 0.965)
O (0.353, 0.757, 0.014)
O (0.853, 0.243, 0.486)
O (0.448, 0.234, 0.535)
O (0.267, 0.654, 0.307)
O (0.808, 0.891, 0.191)

Properties
ρ   3.3 g/cm3
Symmetry   P2_1/c, No. 14

=====

The energy of each structure relative to the most stable one, in eV/atom, is as follows: 1 0.011; 2 0.000.